Entry 1:
! Co3Pt PBE relaxed; values from VASP
&SYSTEM
  ibrav = 0, nat = 8, ntyp = 2
/
ATOMIC_SPECIES
Co 58.93 Co.upf
Pt 195.08 Pt.upf
CELL_PARAMETERS angstrom
5.214 0.000 0.000
-2.607 4.516 0.000
0.000 0.000 4.142
ATOMIC_POSITIONS crystal
Co 0.158 0.317 0.250
Co 0.158 0.842 0.250
Co 0.317 0.158 0.750
Co 0.683 0.842 0.250
Co 0.842 0.158 0.750
Co 0.842 0.683 0.750
Pt 0.333 0.667 0.750
Pt 0.667 0.333 0.250
! E_form, meV/atom: -95
! Uncorrected energy, eV per atom: -6.944

Entry 2:
! Co3Pt PBE relaxed; values from VASP
&SYSTEM
  ibrav = 0, nat = 4, ntyp = 2
/
ATOMIC_SPECIES
Co 58.93 Co.upf
Pt 195.08 Pt.upf
CELL_PARAMETERS angstrom
1.314 0.759 8.318
-1.314 0.759 8.318
0.000 -1.518 8.318
ATOMIC_POSITIONS crystal
Co 0.000 0.000 0.000
Co 0.255 0.255 0.255
Co 0.745 0.745 0.745
Pt 0.500 0.500 0.500
! E_form, meV/atom: 45
! Uncorrected energy, eV per atom: -6.804

Entry 3:
! Co3Pt PBE relaxed; values from VASP
&SYSTEM
  ibrav = 0, nat = 4, ntyp = 2
/
ATOMIC_SPECIES
Co 58.93 Co.upf
Pt 195.08 Pt.upf
CELL_PARAMETERS angstrom
2.637 0.000 0.000
-1.318 2.283 0.000
0.000 0.000 8.291
ATOMIC_POSITIONS crystal
Co 0.000 0.000 0.000
Co 0.667 0.333 0.233
Co 0.667 0.333 0.767
Pt 0.000 0.000 0.500
! E_form, meV/atom: 26
! Uncorrected energy, eV per atom: -6.823

Entry 4:
! CoPt PBE relaxed; values from VASP
&SYSTEM
  ibrav = 0, nat = 2, ntyp = 2
/
ATOMIC_SPECIES
Co 58.93 Co.upf
Pt 195.08 Pt.upf
CELL_PARAMETERS angstrom
2.698 0.000 0.000
0.000 2.698 0.000
0.000 0.000 3.727
ATOMIC_POSITIONS crystal
Co 0.000 0.000 0.000
Pt 0.500 0.500 0.500
! E_form, meV/atom: -86
! Uncorrected energy, eV per atom: -6.675